Density functional theory data (GGA-PBE) for a relaxed structure of SiPAu.

The total energy comes out at -44.13 eV/cell. The value obtained for the piezoelectric modulus e_max is 0.40 C/m2. As for the energy relative to the elements: -0.199 eV per atom.

The structure belongs to space group R3m (No. 160, hexagonal axes); the cell edges are 3.5188, 3.5188 and 17.3858 Å and the angles 90.00°, 90.00° and 120.00°. The inequivalent atoms are Si at (0.0000, 0.0000, 0.0000), P at (0.0000, 0.0000, 0.7266) and Au at (0.0000, 0.0000, 0.8645).